## Ga40Mo8Au (GGA-PBE)

Data for an optimized crystal structure of Ga40Mo8Au.

Cell lengths 14.1258, 14.1258, 15.1814 Å; angles 90.00, 90.00, 120.00 degrees
Space group R-3 (No. 148, hexagonal axes)
Asymmetric unit:
Ga: 0.0000 0.0000 0.0000 x3
Ga: 0.0000 0.5000 0.5000 x9
Ga: 0.0019 0.8165 0.2849 x18
Ga: 0.0112 0.1263 0.1639 x18
Ga: 0.0111 0.3180 0.2675 x18
Ga: 0.0161 0.8512 0.6097 x18
Ga: 0.0188 0.4837 0.1603 x18
Ga: 0.0954 0.5592 0.6706 x18
Mo: 0.0000 0.0000 0.2996 x6
Mo: 0.0154 0.3060 0.0972 x18
Au: 0.0000 0.0000 0.5000 x3

## Properties
M_tot: 0.00 μB per atom
Energy: -0.3281 Ry/atom
Crystal system: trigonal